Density functional theory data (GGA-PBE) for a geometry-optimized HfAlPt2 structure.

a = 4.5693 Å, b = 4.5693 Å, c = 7.9392 Å
α = 90.00°, β = 90.00°, γ = 120.00°
Fractional coordinates of all 8 atoms:
1 Hf 0.0000 0.0000 0.0000
2 Hf 0.0000 0.0000 0.5000
3 Al 0.6667 0.3333 0.7500
4 Al 0.3333 0.6667 0.2500
5 Pt 0.6667 0.3333 0.4184
6 Pt 0.3333 0.6667 0.5816
7 Pt 0.3333 0.6667 0.9184
8 Pt 0.6667 0.3333 0.0816

Results
The calculation puts the energy of formation at -0.878 eV/atom. As for the symmetry: No. 194.